(1)
# PBE Tl3Si, relaxed
# - relative energy among the computed polymorphs (eV per formula unit) = 0.02
# - space-group type = No. 225
data_Tl3Si
_symmetry_space_group_name_H-M 'P 1'
_symmetry_Int_Tables_number 1
_symmetry_space_group_name_Hall 'P 1'
_cell_length_a 5.377
_cell_length_b 5.377
_cell_length_c 5.377
_cell_angle_alpha 60.00
_cell_angle_beta 60.00
_cell_angle_gamma 60.00
loop_
_atom_site_label
_atom_site_fract_x
_atom_site_fract_y
_atom_site_fract_z
_atom_site_occupancy
Tl1 0.250 0.250 0.250 1
Tl2 0.750 0.750 0.750 1
Si1 0.500 0.500 0.500 1
Tl3 0.000 0.000 0.000 1

(2)
# PBE Ho3Co11B4, relaxed
# - space-group type = No. 191
data_Ho3Co11B4
_symmetry_space_group_name_H-M 'P 1'
_symmetry_Int_Tables_number 1
_symmetry_space_group_name_Hall 'P 1'
_cell_length_a 5.034
_cell_length_b 5.037
_cell_length_c 9.780
_cell_angle_alpha 90.00
_cell_angle_beta 90.00
_cell_angle_gamma 119.98
loop_
_atom_site_label
_atom_site_fract_x
_atom_site_fract_y
_atom_site_fract_z
_atom_site_occupancy
Ho1 0.000 0.000 0.342 1
Co1 0.000 0.500 0.500 1
Co2 0.000 0.500 0.798 1
Co3 0.500 0.500 0.798 1
B1 0.667 0.333 0.350 1
Co4 0.000 0.500 0.202 1
Ho2 0.000 0.000 0.000 1
Ho3 0.000 0.000 0.658 1
Co5 0.500 0.000 0.500 1
Co6 0.500 0.500 0.500 1
Co7 0.667 0.333 0.000 1
Co8 0.500 0.000 0.798 1
Co9 0.333 0.667 0.000 1
B2 0.667 0.333 0.650 1
Co10 0.500 0.500 0.202 1
B3 0.333 0.667 0.650 1
Co11 0.500 0.000 0.202 1
B4 0.333 0.667 0.350 1

(3)
# PBE La4Ni3Pb4, relaxed
# - space-group type = No. 146
data_La4Ni3Pb4
_symmetry_space_group_name_H-M 'P 1'
_symmetry_Int_Tables_number 1
_symmetry_space_group_name_Hall 'P 1'
_cell_length_a 6.717
_cell_length_b 6.717
_cell_length_c 6.717
_cell_angle_alpha 96.08
_cell_angle_beta 96.08
_cell_angle_gamma 96.08
loop_
_atom_site_label
_atom_site_fract_x
_atom_site_fract_y
_atom_site_fract_z
_atom_site_occupancy
Ni1 0.747 0.460 0.625 1
Pb1 0.207 0.207 0.207 1
Ni2 0.625 0.747 0.460 1
La1 0.432 0.173 0.671 1
Pb2 0.869 0.091 0.455 1
La2 0.173 0.671 0.432 1
Ni3 0.460 0.625 0.747 1
Pb3 0.091 0.455 0.869 1
La3 0.868 0.868 0.868 1
Pb4 0.455 0.869 0.091 1
La4 0.671 0.432 0.173 1

(4)
# PBE K2BiCl5O2, relaxed
# - space-group type = No. 62
data_K2BiCl5O2
_symmetry_space_group_name_H-M 'P 1'
_symmetry_Int_Tables_number 1
_symmetry_space_group_name_Hall 'P 1'
_cell_length_a 8.125
_cell_length_b 20.628
_cell_length_c 13.444
_cell_angle_alpha 90.00
_cell_angle_beta 90.00
_cell_angle_gamma 90.00
loop_
_atom_site_label
_atom_site_fract_x
_atom_site_fract_y
_atom_site_fract_z
_atom_site_occupancy
Bi1 0.104 0.858 0.010 1
K1 0.033 0.750 0.339 1
O1 0.948 0.330 0.492 1
Cl1 0.900 0.750 0.052 1
Cl2 0.622 0.425 0.033 1
Cl3 0.028 0.362 0.182 1
Cl4 0.812 0.750 0.558 1
Cl5 0.100 0.250 0.948 1
O2 0.448 0.170 0.008 1
Cl6 0.122 0.075 0.467 1
Cl7 0.122 0.425 0.467 1
K2 0.992 0.465 0.688 1
K3 0.492 0.465 0.812 1
K4 0.825 0.250 0.336 1
K5 0.467 0.250 0.839 1
Bi2 0.396 0.142 0.510 1
K6 0.967 0.250 0.661 1
Bi3 0.104 0.642 0.010 1
Cl8 0.528 0.362 0.318 1
Cl9 0.771 0.152 0.804 1
K7 0.492 0.035 0.812 1
Cl10 0.312 0.750 0.942 1
K8 0.008 0.965 0.312 1
O3 0.052 0.670 0.508 1
K9 0.008 0.535 0.312 1
Cl11 0.771 0.348 0.804 1
Cl12 0.028 0.138 0.182 1
O4 0.552 0.670 0.992 1
Cl13 0.108 0.439 0.920 1
Cl14 0.878 0.925 0.533 1
Cl15 0.271 0.348 0.696 1
O5 0.052 0.830 0.508 1
Bi4 0.604 0.642 0.490 1
O6 0.309 0.956 0.685 1
Bi5 0.896 0.142 0.990 1
O7 0.809 0.544 0.815 1
Cl16 0.878 0.575 0.533 1
O8 0.948 0.170 0.492 1
Cl17 0.972 0.862 0.818 1
O9 0.309 0.544 0.685 1
O10 0.191 0.456 0.185 1
Cl18 0.378 0.575 0.967 1
O11 0.809 0.956 0.815 1
Cl19 0.729 0.848 0.304 1
Cl20 0.472 0.638 0.682 1
Cl21 0.600 0.250 0.552 1
Cl22 0.528 0.138 0.318 1
Cl23 0.622 0.075 0.033 1
K10 0.533 0.750 0.161 1
K11 0.508 0.535 0.188 1
Bi6 0.396 0.358 0.510 1
Cl24 0.400 0.750 0.448 1
K12 0.508 0.965 0.188 1
K13 0.325 0.250 0.164 1
Cl25 0.608 0.439 0.580 1
O12 0.191 0.044 0.185 1
K14 0.675 0.750 0.836 1
Cl26 0.892 0.561 0.080 1
O13 0.552 0.830 0.992 1
Cl27 0.972 0.638 0.818 1
Cl28 0.271 0.152 0.696 1
Cl29 0.608 0.061 0.580 1
K15 0.175 0.750 0.664 1
Cl30 0.892 0.939 0.080 1
Cl31 0.729 0.652 0.304 1
Bi7 0.604 0.858 0.490 1
Bi8 0.896 0.358 0.990 1
Cl32 0.378 0.925 0.967 1
Cl33 0.229 0.652 0.196 1
Cl34 0.392 0.939 0.420 1
Cl35 0.188 0.250 0.442 1
Cl36 0.108 0.061 0.920 1
O14 0.691 0.456 0.315 1
Cl37 0.392 0.561 0.420 1
Cl38 0.229 0.848 0.196 1
O15 0.691 0.044 0.315 1
Cl39 0.472 0.862 0.682 1
K16 0.992 0.035 0.688 1
O16 0.448 0.330 0.008 1
Cl40 0.688 0.250 0.058 1

(5)
# PBE TiCrCuSe4, relaxed
# - space-group type = No. 74
data_TiCrCuSe4
_symmetry_space_group_name_H-M 'P 1'
_symmetry_Int_Tables_number 1
_symmetry_space_group_name_Hall 'P 1'
_cell_length_a 7.422
_cell_length_b 7.422
_cell_length_c 7.422
_cell_angle_alpha 120.81
_cell_angle_beta 119.06
_cell_angle_gamma 90.12
loop_
_atom_site_label
_atom_site_fract_x
_atom_site_fract_y
_atom_site_fract_z
_atom_site_occupancy
Se1 0.756 0.272 0.016 1
Ti1 0.000 0.500 0.000 1
Se2 0.244 0.260 0.516 1
Se3 0.244 0.728 0.984 1
Se4 0.247 0.257 0.990 1
Cu1 0.375 0.125 0.250 1
Cr1 0.000 0.500 0.500 1
Se5 0.753 0.743 0.010 1
Se6 0.767 0.257 0.510 1
Cu2 0.625 0.875 0.750 1
Ti2 0.000 0.000 0.500 1
Se7 0.756 0.740 0.484 1
Cr2 0.500 0.500 0.000 1
Se8 0.233 0.743 0.490 1

(6)
# PBE Nb3WSe8, relaxed
# - relative energy among the computed polymorphs (eV per formula unit) = 0.00
# - space-group type = No. 8
data_Nb3WSe8
_symmetry_space_group_name_H-M 'P 1'
_symmetry_Int_Tables_number 1
_symmetry_space_group_name_Hall 'P 1'
_cell_length_a 14.323
_cell_length_b 14.323
_cell_length_c 5.975
_cell_angle_alpha 85.44
_cell_angle_beta 85.44
_cell_angle_gamma 13.80
loop_
_atom_site_label
_atom_site_fract_x
_atom_site_fract_y
_atom_site_fract_z
_atom_site_occupancy
Nb1 0.500 0.500 0.511 1
Se1 0.557 0.557 0.140 1
Se2 0.310 0.310 0.893 1
Se3 0.690 0.690 0.438 1
Se4 0.060 0.060 0.648 1
Se5 0.810 0.810 0.394 1
W1 0.000 0.000 0.989 1
Nb2 0.750 0.750 0.751 1
Se6 0.442 0.442 0.185 1
Se7 0.939 0.939 0.694 1
Nb3 0.250 0.250 0.250 1
Se8 0.190 0.190 0.939 1

(7)
# PBE TiCrS4, relaxed
# - space-group type = No. 74
data_TiCrS4
_symmetry_space_group_name_H-M 'P 1'
_symmetry_Int_Tables_number 1
_symmetry_space_group_name_Hall 'P 1'
_cell_length_a 6.833
_cell_length_b 6.834
_cell_length_c 6.851
_cell_angle_alpha 59.91
_cell_angle_beta 59.91
_cell_angle_gamma 60.37
loop_
_atom_site_label
_atom_site_fract_x
_atom_site_fract_y
_atom_site_fract_z
_atom_site_occupancy
S1 0.253 0.253 0.747 1
S2 0.747 0.747 0.753 1
Ti1 0.000 0.500 0.500 1
S3 0.737 0.261 0.751 1
Cr1 0.500 0.500 0.500 1
S4 0.747 0.747 0.253 1
S5 0.739 0.263 0.249 1
Cr2 0.500 0.500 0.000 1
S6 0.253 0.253 0.247 1
S7 0.263 0.739 0.249 1
S8 0.260 0.737 0.751 1
Ti2 0.500 0.000 0.500 1

(8)
This record from the Materials Project describes an optimized crystal structure of NaMgAlS3O12. The functional is PBE.

Structure (CIF):
```
data_NaMgAlS3O12
_symmetry_space_group_name_H-M 'P 1'
_symmetry_Int_Tables_number 1
_symmetry_space_group_name_Hall 'P 1'
_cell_length_a 8.433
_cell_length_b 8.433
_cell_length_c 22.083
_cell_angle_alpha 90.00
_cell_angle_beta 90.00
_cell_angle_gamma 120.00
loop_
_atom_site_label
_atom_site_fract_x
_atom_site_fract_y
_atom_site_fract_z
_atom_site_occupancy
O1 0.138 0.653 0.077 1
O2 0.514 0.653 0.577 1
O3 0.188 0.033 0.590 1
O4 0.855 0.366 0.923 1
O5 0.541 0.852 0.471 1
Al1 0.000 0.000 0.649 1
O6 0.347 0.486 0.077 1
Mg1 0.333 0.667 0.020 1
S1 0.372 0.326 0.084 1
O7 0.874 0.518 0.138 1
O8 0.848 0.528 0.743 1
O9 0.844 0.812 0.590 1
O10 0.511 0.145 0.923 1
Mg2 0.333 0.667 0.520 1
S2 0.706 0.713 0.250 1
Na1 0.000 0.000 0.498 1
O11 0.301 0.478 0.757 1
S3 0.340 0.961 0.917 1
O12 0.805 0.986 0.410 1
S4 0.954 0.326 0.584 1
O13 0.311 0.852 0.971 1
O14 0.634 0.489 0.923 1
Al2 0.667 0.333 0.482 1
O15 0.815 0.792 0.305 1
O16 0.177 0.478 0.257 1
O17 0.188 0.156 0.090 1
S5 0.287 0.993 0.250 1
O18 0.644 0.518 0.638 1
S6 0.007 0.294 0.250 1
O19 0.541 0.689 0.971 1
O20 0.644 0.126 0.138 1
O21 0.815 0.022 0.805 1
O22 0.181 0.195 0.410 1
S7 0.007 0.713 0.750 1
O23 0.482 0.126 0.638 1
O24 0.311 0.459 0.471 1
O25 0.172 0.210 0.695 1
O26 0.124 0.494 0.862 1
Na2 0.667 0.333 0.332 1
O27 0.138 0.486 0.577 1
S8 0.287 0.294 0.750 1
S9 0.621 0.961 0.417 1
Al3 0.333 0.667 0.815 1
S10 0.340 0.379 0.417 1
O28 0.472 0.319 0.743 1
O29 0.371 0.876 0.862 1
O30 0.014 0.819 0.410 1
O31 0.301 0.823 0.257 1
O32 0.514 0.862 0.077 1
O33 0.704 0.161 0.028 1
Na3 0.333 0.667 0.665 1
Na4 0.333 0.667 0.165 1
O34 0.839 0.543 0.028 1
O35 0.037 0.828 0.695 1
O36 0.790 0.828 0.195 1
O37 0.967 0.156 0.590 1
O38 0.634 0.145 0.423 1
Mg3 0.667 0.333 0.686 1
O39 0.124 0.629 0.362 1
S11 0.674 0.046 0.084 1
S12 0.954 0.628 0.084 1
O40 0.457 0.296 0.028 1
Mg4 0.000 0.000 0.353 1
O41 0.978 0.792 0.805 1
S13 0.674 0.628 0.584 1
O42 0.681 0.152 0.743 1
O43 0.522 0.823 0.757 1
O44 0.967 0.812 0.090 1
Al4 0.000 0.000 0.149 1
O45 0.208 0.022 0.305 1
O46 0.848 0.319 0.243 1
O47 0.148 0.689 0.471 1
Al5 0.667 0.333 0.982 1
Al6 0.333 0.667 0.315 1
O48 0.511 0.366 0.423 1
O49 0.472 0.152 0.243 1
O50 0.371 0.494 0.362 1
O51 0.522 0.699 0.257 1
O52 0.208 0.185 0.805 1
O53 0.347 0.862 0.577 1
O54 0.874 0.356 0.638 1
O55 0.844 0.033 0.090 1
O56 0.681 0.528 0.243 1
O57 0.506 0.629 0.862 1
O58 0.177 0.699 0.757 1
Mg5 0.667 0.333 0.186 1
O59 0.037 0.210 0.195 1
S14 0.039 0.660 0.417 1
O60 0.805 0.819 0.910 1
O61 0.148 0.459 0.971 1
S15 0.706 0.993 0.750 1
O62 0.839 0.296 0.528 1
Na5 0.000 0.000 0.998 1
Mg6 0.000 0.000 0.853 1
S16 0.621 0.660 0.917 1
O63 0.506 0.876 0.362 1
O64 0.704 0.543 0.528 1
O65 0.855 0.489 0.423 1
O66 0.014 0.195 0.910 1
O67 0.978 0.185 0.305 1
S17 0.372 0.046 0.584 1
O68 0.181 0.986 0.910 1
O69 0.790 0.963 0.695 1
S18 0.039 0.379 0.917 1
O70 0.172 0.963 0.195 1
O71 0.457 0.161 0.528 1
O72 0.482 0.356 0.138 1
Na6 0.667 0.333 0.832 1
```

(9)
# PBE TbNiGe, relaxed
# - space-group type = No. 62
data_TbNiGe
_symmetry_space_group_name_H-M 'P 1'
_symmetry_Int_Tables_number 1
_symmetry_space_group_name_Hall 'P 1'
_cell_length_a 4.240
_cell_length_b 6.978
_cell_length_c 7.305
_cell_angle_alpha 90.00
_cell_angle_beta 90.00
_cell_angle_gamma 90.00
loop_
_atom_site_label
_atom_site_fract_x
_atom_site_fract_y
_atom_site_fract_z
_atom_site_occupancy
Ge1 0.750 0.696 0.412 1
Ge2 0.250 0.804 0.912 1
Ni1 0.250 0.193 0.917 1
Tb1 0.750 0.508 0.794 1
Ni2 0.250 0.693 0.583 1
Ni3 0.750 0.307 0.417 1
Tb2 0.750 0.008 0.706 1
Ge3 0.750 0.196 0.088 1
Ni4 0.750 0.807 0.083 1
Ge4 0.250 0.304 0.588 1
Tb3 0.250 0.992 0.294 1
Tb4 0.250 0.492 0.206 1

(10)
# PBE CeSe2, relaxed
# - space-group type = No. 5
data_CeSe2
_symmetry_space_group_name_H-M 'P 1'
_symmetry_Int_Tables_number 1
_symmetry_space_group_name_Hall 'P 1'
_cell_length_a 9.120
_cell_length_b 9.120
_cell_length_c 11.179
_cell_angle_alpha 72.61
_cell_angle_beta 72.61
_cell_angle_gamma 97.87
loop_
_atom_site_label
_atom_site_fract_x
_atom_site_fract_y
_atom_site_fract_z
_atom_site_occupancy
Se1 0.140 0.284 0.551 1
Se2 0.359 0.476 0.803 1
Ce1 0.207 0.209 0.781 1
Se3 0.524 0.641 0.197 1
Se4 0.716 0.860 0.449 1
Se5 0.383 0.992 0.770 1
Ce2 0.791 0.793 0.219 1
Ce3 0.217 0.580 0.362 1
Ce4 0.420 0.783 0.638 1
Se6 0.936 0.064 0.000 1
Se7 0.008 0.617 0.230 1
Se8 0.219 0.781 0.500 1

(11)
# PBE Sm2Ga9Ir3, relaxed
# - space-group type = No. 63
data_Sm2Ga9Ir3
_symmetry_space_group_name_H-M 'P 1'
_symmetry_Int_Tables_number 1
_symmetry_space_group_name_Hall 'P 1'
_cell_length_a 7.626
_cell_length_b 7.626
_cell_length_c 9.586
_cell_angle_alpha 90.00
_cell_angle_beta 90.00
_cell_angle_gamma 119.89
loop_
_atom_site_label
_atom_site_fract_x
_atom_site_fract_y
_atom_site_fract_z
_atom_site_occupancy
Ga1 0.334 0.334 0.939 1
Ga2 0.666 0.999 0.578 1
Ga3 0.334 0.001 0.422 1
Ga4 0.334 0.334 0.561 1
Ga5 0.338 0.544 0.250 1
Ir1 0.671 0.329 0.500 1
Ga6 0.334 0.001 0.078 1
Ga7 0.001 0.334 0.422 1
Ga8 0.872 0.872 0.750 1
Sm1 0.997 0.668 0.250 1
Ir2 0.000 0.000 0.500 1
Sm2 0.668 0.997 0.250 1
Sm3 0.332 0.003 0.750 1
Ga9 0.666 0.666 0.439 1
Ir3 0.329 0.671 0.000 1
Ga10 0.666 0.666 0.061 1
Ga11 0.001 0.334 0.078 1
Ga12 0.999 0.666 0.578 1
Ir4 0.000 0.000 0.000 1
Sm4 0.003 0.332 0.750 1
Ga13 0.544 0.338 0.250 1
Ga14 0.456 0.662 0.750 1
Ga15 0.662 0.456 0.750 1
Ir5 0.329 0.671 0.500 1
Ga16 0.128 0.128 0.250 1
Ir6 0.671 0.329 0.000 1
Ga17 0.999 0.666 0.922 1
Ga18 0.666 0.999 0.922 1

(12)
# PBE CaSnO6, relaxed
# - relative energy among the computed polymorphs (eV per formula unit) = 0.80
# - space-group type = No. 224
data_CaSnO6
_symmetry_space_group_name_H-M 'P 1'
_symmetry_Int_Tables_number 1
_symmetry_space_group_name_Hall 'P 1'
_cell_length_a 8.793
_cell_length_b 8.793
_cell_length_c 8.793
_cell_angle_alpha 90.00
_cell_angle_beta 90.00
_cell_angle_gamma 90.00
loop_
_atom_site_label
_atom_site_fract_x
_atom_site_fract_y
_atom_site_fract_z
_atom_site_occupancy
Sn1 0.250 0.750 0.250 1
O1 0.743 0.257 0.484 1
O2 0.257 0.484 0.743 1
O3 0.757 0.984 0.757 1
O4 0.243 0.016 0.757 1
O5 0.984 0.243 0.243 1
O6 0.757 0.016 0.243 1
O7 0.243 0.243 0.984 1
O8 0.743 0.743 0.516 1
O9 0.516 0.257 0.257 1
O10 0.257 0.743 0.484 1
O11 0.757 0.243 0.016 1
Sn2 0.750 0.250 0.250 1
O12 0.016 0.243 0.757 1
O13 0.243 0.984 0.243 1
O14 0.743 0.516 0.743 1
Ca1 0.250 0.750 0.750 1
Sn3 0.750 0.750 0.750 1
O15 0.984 0.757 0.757 1
Ca2 0.750 0.750 0.250 1
O16 0.243 0.757 0.016 1
Sn4 0.250 0.250 0.750 1
O17 0.757 0.757 0.984 1
O18 0.016 0.757 0.243 1
O19 0.257 0.257 0.516 1
O20 0.516 0.743 0.743 1
O21 0.484 0.743 0.257 1
O22 0.743 0.484 0.257 1
O23 0.257 0.516 0.257 1
O24 0.484 0.257 0.743 1
Ca3 0.750 0.250 0.750 1
Ca4 0.250 0.250 0.250 1

no.,mass density (g cm⁻³),electronic total energy (eV per cell)
1,9.68,-11.138
2,9.17,-125.459
3,8.71,-55.440
4,2.93,-257.698
5,5.50,-81.195
6,6.24,-80.530
7,3.34,-78.617
8,2.66,-673.619
9,8.92,-69.632
10,2.41,-64.911
11,10.34,-145.545
12,2.49,-155.290